1.
# Li4CrFe3O8

A geometry-optimized Li4CrFe3O8 structure (PBE+U, the Materials Project).

Calculated values
Symmetry ... P2/m, No. 10
Polymorph energy (0 for the lowest one) ... 0.001 eV/atom

Cell and atoms, written as POSCAR:
```
Li4CrFe3O8
1.0
5.9516 0.0000 0.0000
0.0000 5.1605 0.0000
0.0000 1.7256 4.8836
O Li Cr Fe
8 4 1 3
direct
0.0000 0.2555 0.7266 O
0.0000 0.7445 0.2734 O
0.5000 0.7418 0.2706 O
0.2489 0.7582 0.7275 O
0.7511 0.2418 0.2725 O
0.7511 0.7582 0.7275 O
0.5000 0.2582 0.7294 O
0.2489 0.2418 0.2725 O
0.7508 0.0000 0.0000 Li
0.2492 0.0000 0.0000 Li
0.0000 0.5000 0.0000 Li
0.5000 0.5000 0.0000 Li
0.0000 0.0000 0.5000 Cr
0.5000 0.0000 0.5000 Fe
0.2501 0.5000 0.5000 Fe
0.7499 0.5000 0.5000 Fe
```

---

2.
# Ta2CrNO5

A geometry-optimized Ta2CrNO5 structure (PBE+U, the Materials Project).

Calculated values
Polymorph energy (0 for the lowest one) ... 0.003 eV/atom

Cell and atoms, written as POSCAR:
```
Ta2CrNO5
1.0
-1.2384 -4.5165 -0.7564
2.9229 -2.3917 9.7164
-6.5809 0.7406 6.7941
O N Ta Cr
20 4 8 4
direct
0.1993 0.1642 0.5175 O
0.6956 0.6736 0.8154 O
0.1993 0.8358 0.6818 O
0.6956 0.6736 0.3154 O
0.6936 0.0000 0.6532 O
0.6956 0.3264 0.9890 O
0.1993 0.1642 0.0175 O
0.3044 0.3264 0.1846 O
0.1993 0.8357 0.1818 O
0.3044 0.6736 0.5110 O
0.6956 0.3264 0.4890 O
0.3044 0.6736 0.0110 O
0.8007 0.1642 0.3182 O
0.6936 0.0000 0.1532 O
0.8007 0.1643 0.8182 O
0.8007 0.8358 0.4825 O
0.3044 0.3264 0.6846 O
0.8007 0.8358 0.9825 O
0.3064 0.0000 0.3468 O
0.3064 0.0000 0.8468 O
0.1959 0.5000 0.3479 N
0.8041 0.5000 0.1521 N
0.8041 0.5000 0.6521 N
0.1959 0.5000 0.8479 N
0.5000 0.8320 0.8340 Ta
0.0000 0.3435 0.8283 Ta
0.0000 0.6565 0.1717 Ta
0.0000 0.6565 0.6717 Ta
0.5000 0.8320 0.3340 Ta
0.5000 0.1680 0.6660 Ta
0.0000 0.3435 0.3283 Ta
0.5000 0.1680 0.1660 Ta
0.0000 0.0000 0.5000 Cr
0.5000 0.5000 0.0000 Cr
0.0000 0.0000 0.0000 Cr
0.5000 0.5000 0.5000 Cr
```

---

3.
# K3FeO4

A geometry-optimized K3FeO4 structure (PBE+U, the Materials Project).

Calculated values
Symmetry ... Pnma, No. 62

Cell and atoms, written as POSCAR:
```
K3FeO4
1.0
7.7635 0.0000 0.0001
0.0000 7.9529 0.0000
0.0001 0.0000 9.2207
K Fe O
12 4 16
direct
0.0373 0.2787 0.0362 K
0.9627 0.7213 0.5362 K
0.5373 0.2213 0.4638 K
0.4627 0.7787 0.5362 K
0.4627 0.7787 0.9638 K
0.6717 0.4440 0.7500 K
0.3283 0.5560 0.2500 K
0.0373 0.2787 0.4638 K
0.1717 0.0560 0.7500 K
0.5373 0.2213 0.0362 K
0.8283 0.9440 0.2500 K
0.9627 0.7213 0.9638 K
0.2260 0.5075 0.7500 Fe
0.7260 0.9925 0.7500 Fe
0.2740 0.0075 0.2500 Fe
0.7740 0.4925 0.2500 Fe
0.0215 0.4203 0.7500 O
0.8167 0.0427 0.9193 O
0.4785 0.9203 0.2500 O
0.2879 0.2247 0.2500 O
0.6833 0.5427 0.0807 O
0.1833 0.9573 0.4193 O
0.3167 0.4573 0.5807 O
0.7121 0.7753 0.7500 O
0.5215 0.0797 0.7500 O
0.7879 0.2753 0.2500 O
0.2121 0.7247 0.7500 O
0.8167 0.0427 0.5807 O
0.9785 0.5797 0.2500 O
0.6833 0.5427 0.4193 O
0.1833 0.9573 0.0807 O
0.3167 0.4573 0.9193 O
```

---

4.
# V2Hg2O7

A geometry-optimized V2Hg2O7 structure (PBE+U, the Materials Project).

Calculated values
Symmetry ... Pnma, No. 62

Cell and atoms, written as POSCAR:
```
V2Hg2O7
1.0
-0.2088 0.5189 3.6518
3.1015 -6.5258 1.1046
19.7818 9.3678 -0.1999
O Hg V
28 8 8
direct
0.7500 0.3642 0.6758 O
0.7500 0.9706 0.3004 O
0.2500 0.8789 0.0283 O
0.2500 0.1358 0.1758 O
0.2500 0.3789 0.4717 O
0.7500 0.7632 0.9409 O
0.2500 0.5294 0.8004 O
0.2500 0.0294 0.6996 O
0.7500 0.1211 0.9717 O
0.7500 0.6003 0.0533 O
0.2500 0.2368 0.0591 O
0.7500 0.7255 0.6600 O
0.2500 0.5298 0.5959 O
0.7500 0.4706 0.1996 O
0.2500 0.7368 0.4409 O
0.2500 0.7745 0.1600 O
0.7500 0.2255 0.8400 O
0.2500 0.8997 0.5533 O
0.7500 0.2632 0.5591 O
0.7500 0.4702 0.4041 O
0.7500 0.1003 0.4467 O
0.2500 0.2745 0.3400 O
0.7500 0.9702 0.0959 O
0.2500 0.6358 0.3242 O
0.7500 0.8642 0.8242 O
0.2500 0.0298 0.9041 O
0.2500 0.3997 0.9467 O
0.7500 0.6211 0.5283 O
0.7500 0.0343 0.6285 Hg
0.7500 0.7280 0.2464 Hg
0.2500 0.9657 0.3715 Hg
0.2500 0.2720 0.7536 Hg
0.7500 0.2280 0.2536 Hg
0.7500 0.5343 0.8715 Hg
0.2500 0.4657 0.1285 Hg
0.2500 0.7720 0.7464 Hg
0.7500 0.8035 0.0196 V
0.7500 0.0230 0.8809 V
0.7500 0.3035 0.4804 V
0.2500 0.6965 0.5196 V
0.7500 0.5230 0.6191 V
0.2500 0.1965 0.9804 V
0.2500 0.9770 0.1191 V
0.2500 0.4770 0.3809 V
```

---

5.
# Li6Nb3Fe3O16

A geometry-optimized Li6Nb3Fe3O16 structure (PBE+U, the Materials Project).

Calculated values
Symmetry ... Cm, No. 8

Cell and atoms, written as POSCAR:
```
Li6Nb3Fe3O16
1.0
-1.5630 -5.4355 2.2590
3.0586 -2.2505 4.7614
-6.4726 4.3617 6.4023
O Fe Nb Li
16 3 3 6
direct
0.4894 0.0323 0.1773 O
0.0323 0.4894 0.1773 O
0.1498 0.1498 0.8764 O
0.8445 0.8445 0.3954 O
0.3033 0.8452 0.3876 O
0.9940 0.9940 0.1771 O
0.9912 0.9912 0.6779 O
0.5067 0.9680 0.6788 O
0.3397 0.3397 0.4005 O
0.1621 0.6979 0.8890 O
0.6979 0.1621 0.8890 O
0.9680 0.5067 0.6788 O
0.5190 0.5190 0.6895 O
0.8452 0.3033 0.3876 O
0.6835 0.6835 0.9091 O
0.4887 0.4887 0.1786 O
0.1649 0.1649 0.2800 Fe
0.8318 0.3257 0.7829 Fe
0.3257 0.8318 0.7829 Fe
0.8216 0.8216 0.7809 Nb
0.6609 0.1664 0.2862 Nb
0.1664 0.6609 0.2862 Nb
0.6588 0.6588 0.5010 Li
0.3365 0.3365 0.9936 Li
0.3325 0.3325 0.6240 Li
0.6712 0.6712 0.1105 Li
0.0051 0.0051 0.9950 Li
0.0089 0.0089 0.4992 Li
```

---

6.
# Li2FeF4

A geometry-optimized Li2FeF4 structure (PBE+U, the Materials Project).

Calculated values
Symmetry ... I4/mmm, No. 139
Polymorph energy (0 for the lowest one) ... 0.191 eV/atom

Cell and atoms, written as POSCAR:
```
Li2FeF4
1.0
1.6262 -4.1543 2.9771
4.4488 0.9552 2.8394
-4.6644 2.5583 -0.6817
F Li Fe
4 2 1
direct
0.0000 0.5000 0.5000 F
0.2357 0.2357 0.0000 F
0.5000 0.0000 0.5000 F
0.7643 0.7643 0.0000 F
0.2500 0.7500 0.5000 Li
0.7500 0.2500 0.5000 Li
0.0000 0.0000 0.0000 Fe
```

---

7.
# Fe2AgMo3O12

A geometry-optimized Fe2AgMo3O12 structure (PBE+U, the Materials Project).

Calculated values
Symmetry ... P-1, No. 2

Cell and atoms, written as POSCAR:
```
Fe2AgMo3O12
1.0
7.0239 0.0000 0.0000
1.0124 6.9900 0.0000
1.7979 1.0223 11.1125
O Mo Fe Ag
24 6 4 2
direct
0.9354 0.2472 0.8856 O
0.7989 0.4806 0.1029 O
0.3271 0.4678 0.2379 O
0.7096 0.7389 0.2898 O
0.2468 0.8547 0.3135 O
0.4680 0.7898 0.5250 O
0.2610 0.9369 0.8734 O
0.2107 0.5202 0.5016 O
0.7893 0.4798 0.4984 O
0.0913 0.7775 0.6981 O
0.7390 0.0631 0.1266 O
0.2011 0.5194 0.8971 O
0.4970 0.7836 0.0877 O
0.8735 0.8728 0.4898 O
0.1478 0.1847 0.0728 O
0.7532 0.1453 0.6865 O
0.9087 0.2225 0.3019 O
0.5320 0.2102 0.4750 O
0.1265 0.1272 0.5102 O
0.0646 0.7528 0.1144 O
0.6729 0.5322 0.7621 O
0.8522 0.8153 0.9272 O
0.2904 0.2611 0.7102 O
0.5030 0.2164 0.9123 O
0.2833 0.7128 0.1876 Mo
0.1026 0.7612 0.8530 Mo
0.7079 0.7197 0.4510 Mo
0.8974 0.2388 0.1470 Mo
0.7167 0.2872 0.8124 Mo
0.2921 0.2803 0.5490 Mo
0.1740 0.8173 0.5069 Fe
0.8260 0.1827 0.4931 Fe
0.2243 0.2305 0.8891 Fe
0.7757 0.7695 0.1109 Fe
0.5946 0.8474 0.7950 Ag
0.4054 0.1526 0.2050 Ag
```

---

8.
# CsMg6WO8

A geometry-optimized CsMg6WO8 structure (PBE+U, the Materials Project).

Calculated values
Symmetry ... P4/mmm, No. 123
Polymorph energy (0 for the lowest one) ... 0.035 eV/atom

Cell and atoms, written as POSCAR:
```
CsMg6WO8
1.0
4.6482 0.0000 0.0000
0.0000 4.6482 0.0000
0.0000 0.0000 9.3205
O Mg Cs W
8 6 1 1
direct
0.5000 0.5000 0.7489 O
0.0000 0.0000 0.7228 O
0.0000 0.5000 0.0000 O
0.5000 0.0000 0.0000 O
0.0000 0.5000 0.5000 O
0.5000 0.5000 0.2511 O
0.5000 0.0000 0.5000 O
0.0000 0.0000 0.2772 O
0.5000 0.0000 0.7517 Mg
0.0000 0.5000 0.2483 Mg
0.5000 0.5000 0.5000 Mg
0.5000 0.0000 0.2483 Mg
0.5000 0.5000 0.0000 Mg
0.0000 0.5000 0.7517 Mg
0.0000 0.0000 0.0000 Cs
0.0000 0.0000 0.5000 W
```

---

9.
# Li4V3P8O29

A geometry-optimized Li4V3P8O29 structure (PBE+U, the Materials Project).

Calculated values
Symmetry ... P1, No. 1
Polymorph energy (0 for the lowest one) ... 0.010 eV/atom

Cell and atoms, written as POSCAR:
```
Li4V3P8O29
1.0
-0.2632 9.1610 3.3553
-3.2784 -7.3205 5.5801
12.9826 -1.6174 5.4129
O P V Li
58 16 6 8
direct
0.9210 0.3830 0.8314 O
0.0965 0.4773 0.6805 O
0.3317 0.6651 0.9767 O
0.4887 0.8126 0.8333 O
0.0085 0.7731 0.4212 O
0.5209 0.6184 0.6794 O
0.2562 0.9177 0.1650 O
0.6708 0.4825 0.1776 O
0.6168 0.5387 0.8310 O
0.0863 0.3423 0.1655 O
0.1821 0.5145 0.3240 O
0.0020 0.2453 0.5700 O
0.3384 0.0852 0.3438 O
0.3805 0.9006 0.6808 O
0.9206 0.2585 0.3388 O
0.4708 0.0903 0.8292 O
0.6687 0.1823 0.6672 O
0.7601 0.0029 0.4282 O
0.6549 0.7394 0.1719 O
0.6729 0.3449 0.5280 O
0.3420 0.2594 0.8336 O
0.2092 0.2059 0.0755 O
0.9155 0.6582 0.8403 O
0.7955 0.0041 0.2488 O
0.1857 0.6749 0.8315 O
0.9085 0.5257 0.3197 O
0.6652 0.9165 0.6605 O
0.2568 0.3417 0.6658 O
0.2345 0.2445 0.4297 O
0.0156 0.7757 0.0628 O
0.9892 0.7872 0.2418 O
0.3296 0.8139 0.3303 O
0.5247 0.3404 0.6808 O
0.9925 0.2014 0.7455 O
0.2238 0.0063 0.9275 O
0.3831 0.4625 0.1695 O
0.6725 0.3432 0.0254 O
0.7472 0.7532 0.5625 O
0.2066 0.0018 0.7481 O
0.0917 0.6179 0.1730 O
0.4757 0.3818 0.3225 O
0.5299 0.9127 0.1710 O
0.0839 0.7387 0.6717 O
0.7993 0.7846 0.7393 O
0.6218 0.1026 0.3210 O
0.8135 0.3298 0.1753 O
0.8177 0.4759 0.6821 O
0.4810 0.6637 0.3245 O
0.5113 0.1867 0.1668 O
0.2334 0.9838 0.5696 O
0.2061 0.2052 0.2524 O
0.9963 0.2034 0.9252 O
0.7407 0.0850 0.8365 O
0.7926 0.8028 0.9177 O
0.7434 0.6594 0.3385 O
0.3284 0.5178 0.8246 O
0.7711 0.9782 0.0687 O
0.3308 0.6566 0.4728 O
0.3153 0.2314 0.3450 P
0.9140 0.6858 0.3379 P
0.7769 0.6948 0.8384 P
0.9154 0.2223 0.8427 P
0.6651 0.3316 0.1296 P
0.3341 0.6686 0.8718 P
0.0887 0.3165 0.6605 P
0.6647 0.3328 0.6321 P
0.3146 0.0891 0.8396 P
0.3319 0.6634 0.3679 P
0.2276 0.9081 0.6603 P
0.0869 0.7737 0.1549 P
0.7726 0.0916 0.3392 P
0.6815 0.7660 0.6540 P
0.6847 0.9107 0.1585 P
0.2231 0.3050 0.1593 P
0.4326 0.0002 0.2529 V
0.5657 0.5608 0.2460 V
0.9977 0.5632 0.7509 V
0.9993 0.4348 0.2442 V
0.5668 0.9985 0.7492 V
0.4311 0.4363 0.7535 V
0.9899 0.0378 0.9990 Li
0.3305 0.1000 0.0555 Li
0.2221 0.9153 0.4444 Li
0.7747 0.0904 0.5613 Li
0.6662 0.9014 0.9407 Li
0.0927 0.7628 0.9382 Li
0.0951 0.3228 0.4455 Li
0.6884 0.7711 0.4392 Li
```

---

10.
# NdMnFeBiO6

A geometry-optimized NdMnFeBiO6 structure (PBE+U, the Materials Project).

Calculated values
Symmetry ... P2_1, No. 4
Polymorph energy (0 for the lowest one) ... 0.134 eV/atom

Cell and atoms, written as POSCAR:
```
NdMnFeBiO6
1.0
0.0000 -0.1789 3.9663
7.4456 0.0000 0.0000
0.0000 9.2730 -0.4303
O Fe Mn Nd Bi
12 2 2 2 2
direct
0.7209 0.3125 0.4896 O
0.8263 0.2928 0.0463 O
0.2062 0.0605 0.5497 O
0.2938 0.5605 0.9503 O
0.7535 0.4837 0.7557 O
0.2787 0.0830 0.9158 O
0.6409 0.0696 0.2648 O
0.6737 0.7928 0.4537 O
0.7791 0.8125 0.0104 O
0.7465 0.9837 0.7443 O
0.8591 0.5696 0.2352 O
0.2213 0.5830 0.5842 O
0.7819 0.0617 0.9557 Fe
0.7181 0.5617 0.5443 Fe
0.6915 0.0429 0.5072 Mn
0.8085 0.5429 0.9928 Mn
0.2439 0.3112 0.7273 Nd
0.2561 0.8112 0.7727 Nd
0.4710 0.7822 0.2210 Bi
0.0290 0.2822 0.2790 Bi
```

---

11.
# MgCo5SnO12

A geometry-optimized MgCo5SnO12 structure (PBE+U, the Materials Project).

Calculated values
Symmetry ... P1, No. 1
Polymorph energy (0 for the lowest one) ... 0.000 eV/atom

Cell and atoms, written as POSCAR:
```
MgCo5SnO12
1.0
-1.7432 -3.5615 -3.2931
-0.3779 1.0074 -4.9825
8.7154 -4.3214 -2.3211
Co O Mg Sn
5 12 1 1
direct
0.5152 0.9968 0.4972 Co
0.8439 0.3306 0.5164 Co
0.3257 0.3157 0.9980 Co
0.6598 0.6515 0.0009 Co
0.1822 0.6626 0.5003 Co
0.4900 0.3173 0.5939 O
0.1899 0.3185 0.4016 O
0.8694 0.0234 0.4019 O
0.5733 0.6463 0.4018 O
0.2962 0.0000 0.1040 O
0.9593 0.6344 0.1019 O
0.8033 0.6753 0.5943 O
0.3913 0.6206 0.9034 O
0.1654 0.0031 0.5953 O
0.9912 0.3623 0.8916 O
0.6529 0.3400 0.1132 O
0.6595 0.9814 0.8999 O
0.9244 0.3326 0.2509 Mg
0.9945 0.9878 0.9835 Sn
```

---

Quick rundown of total energy after the MP2020 corrections, same order as above: -7.199; -10.025; -5.495; -6.571; -7.508; -5.557; -7.967; -5.971; -7.612; -7.722; -6.652 eV/atom
Quick rundown of formation energy from the elements, same order as above: -32.91; -23.78; -12.37; -18.88; -63.90; -18.95; -31.72; -32.50; -113.24; -21.24; -25.85 eV per formula unit